The following is a DFT calculation (PBE-GGA) of a relaxed structure of Ba6Dy2Al4O15.

Calculated values
relative energy among the computed polymorphs	0.0	meV/atom
total energy after the MP2020 corrections	-404.3	eV/cell

Lattice parameters (Å, degrees): 7.927 5.958 18.539 90.00 91.60 90.00
Space group P2/c (No. 13)
Inequivalent atoms, fractional coordinates:
Ba 0.000 0.170 0.250 (multiplicity 2)
Ba 0.002 0.258 0.918 (multiplicity 4)
Ba 0.469 0.245 0.911 (multiplicity 4)
Ba 0.500 0.224 0.250 (multiplicity 2)
Dy 0.251 0.246 0.090 (multiplicity 4)
Al 0.253 0.251 0.444 (multiplicity 4)
Al 0.279 0.272 0.732 (multiplicity 4)
O 0.040 0.254 0.408 (multiplicity 4)
O 0.193 0.186 0.813 (multiplicity 4)
O 0.231 0.470 0.189 (multiplicity 4)
O 0.253 0.051 0.667 (multiplicity 4)
O 0.262 0.491 0.504 (multiplicity 4)
O 0.264 0.005 0.500 (multiplicity 4)
O 0.444 0.259 0.394 (multiplicity 4)
O 0.500 0.289 0.750 (multiplicity 2)

The following is a DFT calculation (PBE-GGA) of a relaxed structure of Cd3Ag.

Lattice parameters (Å, degrees): 3.1789 3.1789 9.6461 90.00 90.00 120.00
Space group P-6m2 (No. 187)
Inequivalent atoms, fractional coordinates:
Cd 0.0000 0.0000 0.0000 (multiplicity 1)
Cd 0.6667 0.3333 0.2603 (multiplicity 2)
Ag 0.0000 0.0000 0.5000 (multiplicity 1)

The following is a DFT calculation (PBE-GGA) of a relaxed structure of NaCaNbSiS2O12.

Calculated values
total magnetic moment	0.0	μB per formula unit
total energy after the MP2020 corrections	-1575.3	eV/cell

Lattice parameters (Å, degrees): 15.675 9.125 23.315 90.00 90.35 90.00
Space group Cc (No. 9)
Inequivalent atoms, fractional coordinates:
Na 0.000 0.010 0.000 (multiplicity 4)
Na 0.192 0.487 0.166 (multiplicity 4)
Na 0.334 0.015 0.334 (multiplicity 4)
Ca 0.014 0.003 0.860 (multiplicity 4)
Ca 0.184 0.498 0.027 (multiplicity 4)
Ca 0.345 0.004 0.194 (multiplicity 4)
Nb 0.015 0.002 0.654 (multiplicity 4)
Nb 0.186 0.481 0.320 (multiplicity 4)
Nb 0.348 0.007 0.987 (multiplicity 4)
Si 0.160 0.144 0.259 (multiplicity 4)
Si 0.331 0.341 0.428 (multiplicity 4)
Si 0.349 0.298 0.093 (multiplicity 4)
S 0.022 0.293 0.756 (multiplicity 4)
S 0.032 0.363 0.423 (multiplicity 4)
S 0.186 0.208 0.924 (multiplicity 4)
S 0.197 0.137 0.589 (multiplicity 4)
S 0.365 0.364 0.756 (multiplicity 4)
S 0.489 0.156 0.590 (multiplicity 4)
O 0.007 0.205 0.806 (multiplicity 4)
O 0.015 0.208 0.416 (multiplicity 4)
O 0.028 0.188 0.703 (multiplicity 4)
O 0.074 0.403 0.082 (multiplicity 4)
O 0.076 0.430 0.371 (multiplicity 4)
O 0.079 0.393 0.475 (multiplicity 4)
O 0.096 0.106 0.200 (multiplicity 4)
O 0.106 0.372 0.759 (multiplicity 4)
O 0.112 0.054 0.594 (multiplicity 4)
O 0.113 0.098 0.315 (multiplicity 4)
O 0.117 0.103 0.917 (multiplicity 4)
O 0.163 0.337 0.266 (multiplicity 4)
O 0.174 0.293 0.975 (multiplicity 4)
O 0.177 0.290 0.581 (multiplicity 4)
O 0.198 0.303 0.872 (multiplicity 4)
O 0.242 0.070 0.538 (multiplicity 4)
O 0.247 0.117 0.641 (multiplicity 4)
O 0.256 0.092 0.256 (multiplicity 4)
O 0.264 0.387 0.366 (multiplicity 4)
O 0.269 0.117 0.929 (multiplicity 4)
O 0.272 0.410 0.089 (multiplicity 4)
O 0.277 0.438 0.760 (multiplicity 4)
O 0.279 0.407 0.479 (multiplicity 4)
O 0.331 0.157 0.434 (multiplicity 4)
O 0.347 0.194 0.146 (multiplicity 4)
O 0.352 0.208 0.748 (multiplicity 4)
O 0.360 0.179 0.033 (multiplicity 4)
O 0.408 0.432 0.704 (multiplicity 4)
O 0.412 0.394 0.808 (multiplicity 4)
O 0.425 0.400 0.421 (multiplicity 4)
O 0.433 0.121 0.538 (multiplicity 4)
O 0.442 0.398 0.099 (multiplicity 4)
O 0.445 0.057 0.927 (multiplicity 4)
O 0.451 0.101 0.642 (multiplicity 4)
O 0.453 0.102 0.248 (multiplicity 4)
O 0.493 0.323 0.594 (multiplicity 4)

The following is a DFT calculation (PBE-GGA) of a relaxed structure of Ac2CuSi.

Calculated values
total energy after the MP2020 corrections	-74.8	eV/cell

Lattice parameters (Å, degrees): 7.646 7.646 7.646 90.00 90.00 90.00
Space group Fm-3m (No. 225)
Inequivalent atoms, fractional coordinates:
Ac 0.250 0.250 0.250 (multiplicity 8)
Cu 0.000 0.000 0.000 (multiplicity 4)
Si 0.000 0.000 0.500 (multiplicity 4)

The following is a DFT calculation (PBE-GGA) of a relaxed structure of Mg3Ga.

Lattice parameters (Å, degrees): 4.366 4.366 8.731 90.00 90.00 90.00
Space group I4/mmm (No. 139)
Inequivalent atoms, fractional coordinates:
Mg 0.000 0.000 0.000 (multiplicity 2)
Mg 0.000 0.500 0.250 (multiplicity 4)
Ga 0.000 0.000 0.500 (multiplicity 2)

The following is a DFT calculation (PBE-GGA) of a relaxed structure of K3SnSe3.

Calculated values
total energy after the MP2020 corrections	-105.0	eV/cell

Lattice parameters (Å, degrees): 9.229 13.026 9.052 90.00 115.85 90.00
Space group P2_1/c (No. 14)
Inequivalent atoms, fractional coordinates:
K 0.001 0.165 0.014 (multiplicity 4)
K 0.224 0.569 0.212 (multiplicity 4)
K 0.441 0.212 0.811 (multiplicity 4)
Sn 0.340 0.508 0.871 (multiplicity 4)
Se 0.172 0.129 0.430 (multiplicity 4)
Se 0.242 0.691 0.880 (multiplicity 4)
Se 0.346 0.029 0.096 (multiplicity 4)

The following is a DFT calculation (PBE-GGA) of a relaxed structure of AgAu.

Lattice parameters (Å, degrees): 2.9376 2.9376 4.8283 90.00 90.00 120.00
Space group P-6m2 (No. 187)
Inequivalent atoms, fractional coordinates:
Ag 0.0000 0.0000 0.0000 (multiplicity 1)
Au 0.6667 0.3333 0.5000 (multiplicity 1)

The following is a DFT calculation (PBE-GGA) of a relaxed structure of Ca2Y2Si4C3O23.

Calculated values
total magnetic moment	0.5	μB per formula unit
total energy after the MP2020 corrections	-1052.1	eV/cell

Lattice parameters (Å, degrees): 14.213 13.455 9.844 90.00 90.00 90.00
Space group Cmc2_1 (No. 36)
Inequivalent atoms, fractional coordinates:
Ca 0.169 0.151 0.000 (multiplicity 8)
Y 0.172 0.142 0.578 (multiplicity 8)
Si 0.110 0.398 0.627 (multiplicity 8)
Si 0.110 0.409 0.944 (multiplicity 8)
C 0.000 0.160 0.730 (multiplicity 4)
C 0.152 0.065 0.296 (multiplicity 8)
O 0.000 0.140 0.599 (multiplicity 4)
O 0.000 0.167 0.065 (multiplicity 4)
O 0.000 0.344 0.279 (multiplicity 4)
O 0.000 0.367 0.603 (multiplicity 4)
O 0.000 0.377 0.972 (multiplicity 4)
O 0.079 0.170 0.791 (multiplicity 8)
O 0.122 0.436 0.784 (multiplicity 8)
O 0.135 0.158 0.309 (multiplicity 8)
O 0.138 0.492 0.531 (multiplicity 8)
O 0.158 0.024 0.177 (multiplicity 8)
O 0.164 0.015 0.407 (multiplicity 8)
O 0.179 0.307 0.590 (multiplicity 8)
O 0.183 0.322 0.991 (multiplicity 8)
O 0.236 0.353 0.276 (multiplicity 8)

The following is a DFT calculation (PBE-GGA) of a relaxed structure of Ce4Re6O19.

Calculated values
total magnetic moment	4.0	μB per formula unit
total energy after the MP2020 corrections	-536.3	eV/cell

Lattice parameters (Å, degrees): 9.036 9.036 9.036 90.00 90.00 90.00
Space group I23 (No. 197)
Inequivalent atoms, fractional coordinates:
Ce 0.156 0.156 0.844 (multiplicity 8)
Re 0.000 0.366 0.500 (multiplicity 12)
O 0.000 0.000 0.000 (multiplicity 2)
O 0.000 0.000 0.317 (multiplicity 12)
O 0.019 0.337 0.282 (multiplicity 24)

no.,calculated total energy (eV per atom),energy of formation from the pure elements (eV per atom)
1,-7.104,-3.415
2,-1.418,-0.017
3,-6.835,-2.488
4,-4.694,-0.234
5,-2.026,-0.068
6,-3.548,-1.204
7,-3.088,-0.035
8,-7.272,-2.438
9,-8.796,-2.611